1.
A plane-wave DFT calculation with GGA-PBE was carried out for Dy5BiPt2 after structural relaxation.

Computed properties:
Crystal system: tetragonal
E_tot (Ha/atom): -0.213
Energy of formation (eV/atom): -0.9186

```
Dy5BiPt2
1.0
-6.097 -6.085 -2.074
-7.601 4.522 0.514
7.300 2.143 -4.540
Dy Pt Bi
10 4 2
Cartesian
-5.284 2.335 -0.910
-8.999 1.912 -1.334
-4.627 -0.874 -3.469
-6.849 -0.781 -0.780
1.943 1.878 -2.208
-1.114 -1.754 -5.190
-1.772 1.455 -2.631
-8.341 -1.297 -3.893
2.601 -1.331 -4.767
0.000 0.000 0.000
-0.026 3.709 -3.483
-6.372 -3.128 -2.618
0.394 -0.506 -2.950
-6.792 1.087 -3.151
-3.425 -0.391 -0.390
-10.274 -1.172 -1.171
```

2.
A plane-wave DFT calculation with GGA-PBE was carried out for DyBiRh after structural relaxation.

Computed properties:
Crystal system: hexagonal
E_tot (Ha/atom): -0.222
Energy of formation (eV/atom): -0.7433

```
DyBiRh
1.0
-6.727 2.481 -2.756
0.431 -6.813 3.521
-0.784 1.757 3.496
Bi Dy Rh
3 3 3
Cartesian
-5.016 -2.303 2.310
-2.179 1.537 1.016
-0.278 -0.932 2.683
0.259 -4.093 2.115
-2.514 -1.730 0.305
-4.042 1.490 -1.656
-4.733 0.261 1.084
-2.347 -2.837 3.177
0.000 0.000 0.000
```

3.
A plane-wave DFT calculation with GGA-PBE was carried out for Dy4Bi2S9 after structural relaxation.

Computed properties:
Magnetization (μB per atom): 0.0007
Crystal system: orthorhombic
E_tot (Ha/atom): -0.209
Energy of formation (eV/atom): -1.7491

```
Dy4Bi2S9
1.0
-23.813 -12.638 7.806
1.285 -0.181 3.625
-5.178 11.238 2.398
S Dy Bi
36 16 8
Cartesian
-23.756 -0.561 11.458
-13.882 2.360 6.060
-2.400 6.700 4.253
-18.688 -0.598 7.615
-17.490 -3.796 7.030
-22.671 -4.195 10.891
-18.256 1.911 9.632
-12.605 -1.414 5.419
-12.249 5.347 7.676
-9.450 -3.492 4.196
-3.951 -1.021 2.371
-13.824 -3.942 7.769
-5.036 2.614 2.938
-7.488 7.254 4.039
-10.217 2.215 6.798
-20.219 -8.835 9.790
-23.035 -10.939 8.638
-15.689 3.384 8.796
-25.307 -8.282 9.576
-1.513 1.500 3.678
-5.048 5.405 5.127
-6.939 2.157 5.634
-20.768 -3.738 8.195
-11.075 7.386 5.317
-4.672 9.357 5.191
-9.019 -0.983 6.214
-16.631 -8.968 8.512
-19.058 -6.583 7.446
-26.193 -3.081 10.150
-15.101 -0.167 8.410
-20.741 -0.915 10.371
-15.457 -6.928 6.153
-22.658 -6.987 8.702
-12.017 -4.965 5.032
-6.966 -0.667 3.458
-8.649 5.002 6.382
-22.823 -9.123 10.698
-18.574 -2.481 9.525
-9.133 0.899 4.304
-20.692 1.272 8.419
-16.894 1.449 7.082
-19.214 -9.382 7.362
-22.991 -2.049 9.067
-20.387 -5.991 9.992
-4.883 7.542 3.130
-7.015 -2.854 5.410
-8.493 7.800 6.467
-4.716 0.468 4.762
-11.174 4.465 5.206
-10.813 -3.030 6.747
-16.532 -6.046 8.623
-7.319 4.409 3.837
-14.838 4.989 6.530
-1.486 -0.065 1.546
-15.286 -2.274 6.325
-12.868 -6.571 7.298
-24.827 -5.492 9.545
-12.421 0.693 7.503
-26.221 -1.516 12.283
-2.880 3.911 4.283
```